Material: LiNiPHO5
Method: DFT, PBE+U
State: optimized geometry Values from VASP.

```
&SYSTEM
  ibrav = 0, nat = 18, ntyp = 5
/
ATOMIC_SPECIES
Li 6.94 Li.upf
Ni 58.69 Ni.upf
P 30.97 P.upf
H 1.01 H.upf
O 16.00 O.upf
CELL_PARAMETERS angstrom
5.150 0.000 0.000
-0.961 5.342 0.000
-2.186 -2.452 6.282
ATOMIC_POSITIONS crystal
Li 0.746 0.391 0.821
Li 0.254 0.609 0.179
Ni 0.000 0.000 0.500
Ni 0.000 0.000 0.000
P 0.676 0.362 0.238
P 0.324 0.638 0.762
H 0.349 0.075 0.345
H 0.651 0.925 0.655
O 0.852 0.046 0.728
O 0.712 0.212 0.394
O 0.310 0.337 0.656
O 0.363 0.253 0.067
O 0.886 0.343 0.121
O 0.114 0.657 0.879
O 0.637 0.747 0.933
O 0.690 0.663 0.344
O 0.288 0.788 0.606
O 0.148 0.954 0.272
```

ΔE_f ... -1990 meV per atom

Material: Li2NiH12S2O14
Method: DFT, PBE+U
State: optimized geometry Values from VASP.

```
&SYSTEM
  ibrav = 0, nat = 62, ntyp = 5
/
ATOMIC_SPECIES
Li 6.94 Li.upf
Ni 58.69 Ni.upf
H 1.01 H.upf
S 32.06 S.upf
O 16.00 O.upf
CELL_PARAMETERS angstrom
-2.091 10.970 -3.935
-5.738 -1.136 -0.118
-2.329 2.398 7.925
ATOMIC_POSITIONS crystal
Li 0.379 0.654 0.164
Li 0.879 0.346 0.336
Li 0.121 0.654 0.664
Li 0.621 0.346 0.836
Ni 0.000 0.000 0.000
Ni 0.500 0.000 0.500
H 0.806 0.029 0.140
H 0.848 0.652 0.033
H 0.060 0.349 0.107
H 0.394 0.075 0.228
H 0.630 0.089 0.245
H 0.087 0.676 0.213
H 0.587 0.324 0.287
H 0.130 0.911 0.255
H 0.894 0.925 0.272
H 0.560 0.651 0.393
H 0.348 0.348 0.467
H 0.306 0.971 0.360
H 0.694 0.029 0.640
H 0.652 0.652 0.533
H 0.440 0.349 0.607
H 0.106 0.075 0.728
H 0.870 0.089 0.745
H 0.413 0.676 0.713
H 0.913 0.324 0.787
H 0.370 0.911 0.755
H 0.606 0.925 0.772
H 0.940 0.651 0.893
H 0.152 0.348 0.967
H 0.194 0.971 0.860
S 0.633 0.719 0.077
S 0.133 0.281 0.423
S 0.867 0.719 0.577
S 0.367 0.281 0.923
O 0.408 0.303 0.083
O 0.928 0.691 0.998
O 0.881 0.060 0.182
O 0.732 0.564 0.122
O 0.662 0.968 0.079
O 0.115 0.832 0.164
O 0.541 0.641 0.196
O 0.041 0.359 0.304
O 0.615 0.168 0.336
O 0.162 0.032 0.421
O 0.232 0.436 0.378
O 0.381 0.940 0.318
O 0.428 0.309 0.502
O 0.908 0.697 0.417
O 0.092 0.303 0.583
O 0.572 0.691 0.498
O 0.619 0.060 0.682
O 0.768 0.564 0.622
O 0.838 0.968 0.579
O 0.385 0.832 0.664
O 0.959 0.641 0.696
O 0.459 0.359 0.804
O 0.885 0.168 0.836
O 0.338 0.032 0.921
O 0.268 0.436 0.878
O 0.119 0.940 0.818
O 0.072 0.309 0.002
O 0.592 0.697 0.917
```

ΔE_f ... -1561 meV per atom

Material: LiVP3HO10
Method: DFT, PBE+U
State: optimized geometry Values from VASP.

```
&SYSTEM
  ibrav = 0, nat = 32, ntyp = 5
/
ATOMIC_SPECIES
Li 6.94 Li.upf
V 50.94 V.upf
P 30.97 P.upf
H 1.01 H.upf
O 16.00 O.upf
CELL_PARAMETERS angstrom
4.987 0.000 0.000
0.000 8.697 0.000
0.000 6.979 9.548
ATOMIC_POSITIONS crystal
Li 0.604 0.500 0.750
Li 0.396 0.500 0.250
V 0.500 0.000 0.000
V 0.500 0.000 0.500
P 0.008 0.735 0.531
P 0.762 0.000 0.250
P 0.008 0.265 0.969
P 0.992 0.735 0.031
P 0.238 0.000 0.750
P 0.992 0.265 0.469
H 0.000 0.500 0.500
H 0.000 0.500 0.000
O 0.818 0.189 0.913
O 0.305 0.243 0.949
O 0.936 0.529 0.586
O 0.936 0.471 0.914
O 0.596 0.915 0.193
O 0.968 0.849 0.363
O 0.305 0.757 0.551
O 0.818 0.811 0.587
O 0.968 0.151 0.137
O 0.596 0.085 0.307
O 0.404 0.915 0.693
O 0.032 0.849 0.863
O 0.182 0.189 0.413
O 0.695 0.243 0.449
O 0.032 0.151 0.637
O 0.404 0.085 0.807
O 0.064 0.529 0.086
O 0.064 0.471 0.414
O 0.695 0.757 0.051
O 0.182 0.811 0.087
```

ΔE_f ... -2523 meV per atom
Polymorph energy (0 for the lowest one) ... 5 meV per atom

Material: Li2VP2HO8
Method: DFT, PBE+U
State: optimized geometry Values from VASP.

```
&SYSTEM
  ibrav = 0, nat = 56, ntyp = 5
/
ATOMIC_SPECIES
Li 6.94 Li.upf
V 50.94 V.upf
P 30.97 P.upf
H 1.01 H.upf
O 16.00 O.upf
CELL_PARAMETERS angstrom
-4.090 -4.044 -5.752
7.973 -1.131 -3.254
0.101 -5.857 7.708
ATOMIC_POSITIONS crystal
Li 0.140 0.770 0.110
Li 0.140 0.770 0.610
Li 0.860 0.230 0.390
Li 0.860 0.230 0.890
Li 0.372 0.618 0.335
Li 0.372 0.617 0.835
Li 0.628 0.382 0.165
Li 0.628 0.383 0.665
V 0.184 0.213 0.703
V 0.816 0.787 0.797
V 0.184 0.213 0.203
V 0.816 0.787 0.297
P 0.234 0.942 0.420
P 0.234 0.942 0.920
P 0.766 0.058 0.080
P 0.766 0.058 0.580
P 0.244 0.424 0.046
P 0.244 0.424 0.546
P 0.756 0.576 0.454
P 0.756 0.576 0.954
H 0.450 0.131 0.435
H 0.450 0.131 0.935
H 0.550 0.869 0.065
H 0.550 0.869 0.565
O 0.068 0.863 0.289
O 0.068 0.863 0.789
O 0.932 0.137 0.211
O 0.932 0.137 0.711
O 0.071 0.317 0.048
O 0.071 0.317 0.548
O 0.929 0.683 0.452
O 0.929 0.683 0.952
O 0.190 0.008 0.064
O 0.190 0.007 0.564
O 0.810 0.992 0.436
O 0.810 0.993 0.936
O 0.250 0.406 0.383
O 0.250 0.406 0.883
O 0.750 0.594 0.117
O 0.750 0.594 0.617
O 0.363 0.832 0.446
O 0.363 0.832 0.947
O 0.637 0.168 0.054
O 0.637 0.168 0.553
O 0.263 0.600 0.123
O 0.263 0.600 0.623
O 0.737 0.400 0.377
O 0.737 0.400 0.877
O 0.322 0.091 0.369
O 0.322 0.091 0.869
O 0.678 0.909 0.131
O 0.678 0.909 0.631
O 0.380 0.345 0.139
O 0.380 0.345 0.639
O 0.620 0.655 0.361
O 0.620 0.655 0.861
```

ΔE_f ... -2546 meV per atom
Polymorph energy (0 for the lowest one) ... 40 meV per atom

Material: LiVP2HO8
Method: DFT, PBE+U
State: optimized geometry Values from VASP.

```
&SYSTEM
  ibrav = 0, nat = 26, ntyp = 5
/
ATOMIC_SPECIES
Li 6.94 Li.upf
V 50.94 V.upf
P 30.97 P.upf
H 1.01 H.upf
O 16.00 O.upf
CELL_PARAMETERS angstrom
4.861 0.000 0.000
2.005 7.200 0.000
0.009 0.017 7.992
ATOMIC_POSITIONS crystal
Li 0.397 0.149 0.869
Li 0.908 0.647 0.633
V 0.492 0.002 0.491
V 0.989 0.507 0.010
P 0.135 0.733 0.349
P 0.369 0.769 0.848
P 0.628 0.238 0.156
P 0.870 0.264 0.654
H 0.514 0.495 0.504
H 0.965 0.010 0.010
O 0.133 0.143 0.555
O 0.045 0.683 0.175
O 0.157 0.646 0.830
O 0.261 0.560 0.456
O 0.360 0.345 0.052
O 0.541 0.184 0.328
O 0.239 0.949 0.940
O 0.331 0.864 0.329
O 0.653 0.147 0.673
O 0.748 0.061 0.048
O 0.489 0.809 0.677
O 0.634 0.646 0.946
O 0.742 0.447 0.560
O 0.832 0.362 0.172
O 0.987 0.313 0.823
O 0.861 0.844 0.449
```

ΔE_f ... -2482 meV per atom
Polymorph energy (0 for the lowest one) ... 3 meV per atom

Material: LiVP2HO7
Method: DFT, PBE+U
State: optimized geometry Values from VASP.

```
&SYSTEM
  ibrav = 0, nat = 48, ntyp = 5
/
ATOMIC_SPECIES
Li 6.94 Li.upf
V 50.94 V.upf
P 30.97 P.upf
H 1.01 H.upf
O 16.00 O.upf
CELL_PARAMETERS angstrom
-5.352 0.911 3.651
4.101 3.521 3.809
-4.080 9.310 -7.373
ATOMIC_POSITIONS crystal
Li 0.120 0.687 0.425
Li 0.120 0.187 0.925
Li 0.880 0.813 0.075
Li 0.880 0.313 0.575
V 0.351 0.739 0.641
V 0.649 0.261 0.359
V 0.351 0.239 0.141
V 0.650 0.761 0.859
P 0.155 0.156 0.383
P 0.155 0.656 0.883
P 0.845 0.344 0.117
P 0.845 0.844 0.617
P 0.390 0.729 0.090
P 0.390 0.229 0.590
P 0.610 0.771 0.410
P 0.610 0.271 0.910
H 0.172 0.905 0.249
H 0.172 0.405 0.749
H 0.828 0.595 0.251
H 0.828 0.095 0.751
O 0.095 0.930 0.325
O 0.095 0.430 0.825
O 0.905 0.570 0.175
O 0.905 0.070 0.675
O 0.030 0.223 0.089
O 0.030 0.723 0.589
O 0.970 0.277 0.411
O 0.970 0.777 0.911
O 0.238 0.110 0.493
O 0.238 0.610 0.993
O 0.762 0.390 0.007
O 0.762 0.890 0.507
O 0.272 0.909 0.142
O 0.272 0.409 0.642
O 0.728 0.591 0.358
O 0.728 0.091 0.858
O 0.324 0.266 0.319
O 0.325 0.766 0.819
O 0.675 0.234 0.181
O 0.676 0.734 0.681
O 0.402 0.566 0.161
O 0.402 0.066 0.661
O 0.598 0.934 0.339
O 0.598 0.434 0.839
O 0.409 0.698 0.467
O 0.409 0.198 0.967
O 0.591 0.802 0.033
O 0.591 0.302 0.533
```

ΔE_f ... -2463 meV per atom

Material: Li2V3P4H4O16
Method: DFT, PBE+U
State: optimized geometry Values from VASP.

```
&SYSTEM
  ibrav = 0, nat = 58, ntyp = 5
/
ATOMIC_SPECIES
Li 6.94 Li.upf
V 50.94 V.upf
P 30.97 P.upf
H 1.01 H.upf
O 16.00 O.upf
CELL_PARAMETERS angstrom
-0.051 -4.098 7.161
-5.729 -5.858 -3.393
6.027 -6.000 -3.391
ATOMIC_POSITIONS crystal
Li 0.333 0.003 0.034
Li 0.167 0.003 0.534
Li 0.833 0.997 0.466
Li 0.667 0.997 0.966
V 0.500 0.500 0.000
V 0.139 0.647 0.004
V 0.639 0.353 0.496
V 0.000 0.500 0.500
V 0.361 0.647 0.504
V 0.861 0.353 0.996
P 0.565 0.178 0.227
P 0.802 0.613 0.205
P 0.302 0.387 0.295
P 0.065 0.822 0.273
P 0.935 0.178 0.727
P 0.698 0.613 0.705
P 0.198 0.387 0.795
P 0.435 0.822 0.773
H 0.999 0.112 0.211
H 0.042 0.278 0.234
H 0.542 0.722 0.266
H 0.499 0.888 0.289
H 0.501 0.112 0.711
H 0.458 0.278 0.734
H 0.958 0.722 0.766
H 0.001 0.888 0.789
O 0.633 0.313 0.120
O 0.005 0.217 0.156
O 0.924 0.545 0.107
O 0.539 0.039 0.148
O 0.292 0.485 0.143
O 0.638 0.651 0.131
O 0.162 0.853 0.129
O 0.380 0.222 0.270
O 0.880 0.778 0.230
O 0.662 0.147 0.371
O 0.138 0.349 0.369
O 0.792 0.515 0.357
O 0.039 0.961 0.352
O 0.424 0.455 0.393
O 0.505 0.783 0.344
O 0.133 0.687 0.380
O 0.867 0.313 0.620
O 0.495 0.217 0.656
O 0.576 0.545 0.607
O 0.961 0.039 0.648
O 0.208 0.485 0.643
O 0.862 0.651 0.631
O 0.338 0.853 0.629
O 0.120 0.222 0.770
O 0.620 0.778 0.730
O 0.838 0.147 0.871
O 0.362 0.349 0.869
O 0.708 0.515 0.857
O 0.461 0.961 0.852
O 0.076 0.455 0.893
O 0.995 0.783 0.844
O 0.367 0.687 0.880
```

ΔE_f ... -2344 meV per atom

Material: LiVP2HO8
Method: DFT, PBE+U
State: optimized geometry Values from VASP.

```
&SYSTEM
  ibrav = 0, nat = 52, ntyp = 5
/
ATOMIC_SPECIES
Li 6.94 Li.upf
V 50.94 V.upf
P 30.97 P.upf
H 1.01 H.upf
O 16.00 O.upf
CELL_PARAMETERS angstrom
7.461 0.000 0.000
-0.013 7.982 0.000
-2.487 -0.028 9.422
ATOMIC_POSITIONS crystal
Li 0.652 0.630 0.053
Li 0.145 0.870 0.290
Li 0.855 0.128 0.705
Li 0.352 0.369 0.950
V 0.007 0.488 0.255
V 0.497 0.000 0.501
V 0.997 0.509 0.746
V 0.498 0.000 0.999
P 0.265 0.654 0.063
P 0.231 0.149 0.182
P 0.761 0.849 0.312
P 0.734 0.348 0.437
P 0.269 0.648 0.565
P 0.233 0.148 0.688
P 0.766 0.846 0.817
P 0.738 0.344 0.937
H 0.514 0.487 0.270
H 0.989 0.993 0.485
H 0.492 0.508 0.741
H 0.995 0.994 0.992
O 0.847 0.446 0.071
O 0.316 0.829 0.021
O 0.358 0.173 0.078
O 0.441 0.550 0.121
O 0.651 0.949 0.180
O 0.809 0.676 0.261
O 0.059 0.042 0.120
O 0.140 0.669 0.168
O 0.860 0.328 0.335
O 0.947 0.940 0.379
O 0.180 0.325 0.224
O 0.341 0.051 0.314
O 0.554 0.445 0.374
O 0.639 0.842 0.419
O 0.685 0.177 0.493
O 0.849 0.444 0.571
O 0.156 0.550 0.430
O 0.316 0.819 0.507
O 0.362 0.155 0.584
O 0.447 0.554 0.634
O 0.658 0.947 0.686
O 0.820 0.672 0.775
O 0.052 0.060 0.619
O 0.137 0.671 0.663
O 0.863 0.327 0.833
O 0.940 0.954 0.878
O 0.195 0.324 0.741
O 0.348 0.049 0.820
O 0.562 0.448 0.878
O 0.643 0.824 0.923
O 0.683 0.170 0.980
O 0.154 0.553 0.929
```

ΔE_f ... -2481 meV per atom
Polymorph energy (0 for the lowest one) ... 4 meV per atom